No. 1
PBE K3PrCl6, optimized geometry; energy relative to the elements = -2.465 eV/atom
1.0
-2.717 3.928 -6.336
11.985 5.868 -1.502
-0.129 -11.027 -6.780
K Cl Pr
12 24 4
Cartesian
-0.184 -7.059 -8.919
6.547 1.938 -7.237
8.031 1.703 -2.994
2.592 -3.169 -7.381
8.088 2.005 -11.817
3.652 0.905 -1.668
5.486 -2.136 -12.950
2.200 1.094 -5.839
1.050 -3.236 -2.802
9.323 5.827 -5.699
1.108 -2.934 -11.625
6.939 -2.325 -8.780
8.500 3.830 -9.184
1.880 -0.457 -8.886
0.639 -5.061 -5.435
1.276 -8.822 -6.026
4.144 -3.387 -10.309
9.265 2.605 -5.655
-0.506 2.319 -6.609
2.133 4.784 -5.057
7.006 -6.015 -9.562
5.488 -4.164 -6.400
7.259 -0.774 -5.733
9.151 0.121 -8.828
5.706 0.245 -10.061
-0.127 -3.836 -8.964
3.650 2.933 -8.219
3.432 -1.476 -4.558
8.687 -2.048 -11.987
5.942 5.510 -6.271
0.452 0.816 -2.632
9.645 -3.550 -8.009
-0.013 -1.352 -5.791
4.995 2.155 -4.310
3.196 -6.742 -8.348
7.863 7.590 -8.593
-1.423 -3.550 -6.558
0.000 0.000 0.000
4.634 4.898 -3.919
5.928 -2.579 -4.141

***

No. 2
PBE BaCa, optimized geometry; energy relative to the elements = 0.041 eV/atom
1.0
3.002 -3.156 0.000
3.002 3.156 0.000
0.000 0.000 5.586
Ca Ba
1 1
Cartesian
3.002 0.000 2.793
0.000 0.000 0.000

***

No. 3
PBE RbNiCl3, optimized geometry; energy relative to the elements = -1.552 eV/atom
1.0
3.039 5.019 3.920
-7.025 -0.663 -0.056
0.319 -3.772 4.582
Cl Rb Ni
6 2 2
Cartesian
-5.385 -0.725 1.706
-1.627 -0.370 1.736
0.093 -1.376 4.643
1.718 1.309 6.740
-2.039 0.954 6.710
-3.759 1.960 3.803
-3.431 -1.598 4.706
-0.236 2.182 3.740
0.000 0.000 0.000
0.160 -1.886 2.291

***

No. 4
PBE LaSn2, optimized geometry; energy relative to the elements = -0.672 eV/atom
1.0
2.340 -7.641 0.000
2.340 7.641 0.000
0.000 0.000 4.826
Sn La
4 2
Cartesian
2.340 -2.657 2.413
2.340 2.657 2.413
0.000 0.000 2.413
2.340 0.000 0.000
2.340 -5.374 0.000
2.340 5.374 0.000

***

No. 5
PBE Sm2Cu2O5, optimized geometry; energy relative to the elements = -2.471 eV/atom; distance to the lowest polymorph of the same formula = 0.046 eV/atom
1.0
-2.377 2.694 1.132
-4.482 -3.219 -1.751
-0.486 -4.190 8.947
Sm O Cu
4 10 4
Cartesian
-2.249 -2.678 7.915
-4.393 -3.453 5.257
-5.096 -2.038 0.414
-2.952 -1.263 3.072
-4.815 -2.785 2.782
-2.783 -2.763 0.732
-2.484 -3.705 3.598
-2.185 -4.646 6.465
-0.591 -1.580 2.519
-4.377 -5.829 4.678
0.000 0.000 0.000
-4.915 -4.777 7.312
-2.530 -1.931 5.547
-2.430 0.061 1.017
-3.529 -6.019 6.909
-1.135 -3.093 4.975
-1.439 -1.391 0.287
-3.833 -4.316 2.222

***

No. 6
PBE DyAlO3, optimized geometry; energy relative to the elements = -3.619 eV/atom
1.0
-0.197 0.486 3.674
0.713 -3.605 0.515
3.637 0.733 0.098
O Dy Al
3 1 1
Cartesian
0.258 -1.560 2.095
2.175 -1.436 0.307
1.720 0.610 1.886
0.000 0.000 0.000
2.076 -1.193 2.144

***

No. 7
PBE Pr3Ni4Ge4, optimized geometry; energy relative to the elements = -0.642 eV/atom
1.0
-2.076 2.094 12.078
2.076 -2.094 12.078
2.076 2.094 -12.078
Ni Pr Ge
4 3 4
Cartesian
0.000 0.000 13.280
0.000 2.094 4.811
0.000 0.000 10.877
2.076 0.000 7.267
0.000 0.000 0.000
2.076 0.000 3.588
0.000 2.094 8.491
0.000 0.000 6.038
2.076 0.000 9.671
0.000 0.000 18.118
0.000 2.094 2.407

***

No. 8
PBE K2PtS15, optimized geometry; energy relative to the elements = -0.690 eV/atom
1.0
-7.222 -5.788 0.679
-4.353 0.296 8.190
-7.890 9.131 -4.382
S K Pt
30 4 2
Cartesian
-8.344 3.218 5.668
-2.979 0.361 -0.507
-6.049 1.478 -0.316
-5.064 -1.278 3.467
-5.367 -0.630 5.369
-14.446 3.209 -2.171
-17.064 2.236 3.502
-7.808 6.512 0.173
-16.132 1.405 5.102
-12.042 -0.712 5.069
-8.024 -0.559 2.492
-6.792 -2.233 2.815
-6.351 6.142 -1.198
-12.609 -1.248 7.028
-10.222 2.468 5.909
-9.220 2.839 0.723
-12.220 -3.232 7.205
-13.018 3.647 0.881
-6.277 4.124 3.199
-10.502 1.410 0.059
-8.591 0.104 4.333
-5.897 2.132 3.305
-11.535 4.928 1.438
-10.065 3.759 2.386
-15.942 3.949 2.995
-15.864 3.433 -0.727
-11.978 4.966 -3.590
-11.020 4.198 -1.972
-4.908 -0.270 -0.373
-9.388 7.328 -0.921
-11.164 -1.789 1.188
-13.108 2.324 3.917
-9.500 -2.955 5.227
-13.191 6.843 4.019
-6.798 1.342 5.411
-12.397 2.400 -1.112

***

Please write out number 8 again, unchanged.
PBE K2PtS15, optimized geometry; energy relative to the elements = -0.690 eV/atom
1.0
-7.222 -5.788 0.679
-4.353 0.296 8.190
-7.890 9.131 -4.382
S K Pt
30 4 2
Cartesian
-8.344 3.218 5.668
-2.979 0.361 -0.507
-6.049 1.478 -0.316
-5.064 -1.278 3.467
-5.367 -0.630 5.369
-14.446 3.209 -2.171
-17.064 2.236 3.502
-7.808 6.512 0.173
-16.132 1.405 5.102
-12.042 -0.712 5.069
-8.024 -0.559 2.492
-6.792 -2.233 2.815
-6.351 6.142 -1.198
-12.609 -1.248 7.028
-10.222 2.468 5.909
-9.220 2.839 0.723
-12.220 -3.232 7.205
-13.018 3.647 0.881
-6.277 4.124 3.199
-10.502 1.410 0.059
-8.591 0.104 4.333
-5.897 2.132 3.305
-11.535 4.928 1.438
-10.065 3.759 2.386
-15.942 3.949 2.995
-15.864 3.433 -0.727
-11.978 4.966 -3.590
-11.020 4.198 -1.972
-4.908 -0.270 -0.373
-9.388 7.328 -0.921
-11.164 -1.789 1.188
-13.108 2.324 3.917
-9.500 -2.955 5.227
-13.191 6.843 4.019
-6.798 1.342 5.411
-12.397 2.400 -1.112

***

Copy entry 6 word for word.
PBE DyAlO3, optimized geometry; energy relative to the elements = -3.619 eV/atom
1.0
-0.197 0.486 3.674
0.713 -3.605 0.515
3.637 0.733 0.098
O Dy Al
3 1 1
Cartesian
0.258 -1.560 2.095
2.175 -1.436 0.307
1.720 0.610 1.886
0.000 0.000 0.000
2.076 -1.193 2.144

***

- What is the energy relative to the elements in the second record?
  0.041 eV/atom